Entry 1:
Below is a geometry-optimized ThSi2Au2 structure, with properties calculated at the PBE-GGA level.

Symmetry: No. 139

Cell: 5.9950 5.9950 5.9950 Å, 137.51 137.51 61.66°
Positions (direct):
Si (0.6130, 0.6130, 0.0000)
Si (0.3870, 0.3870, 0.0000)
Th (0.0000, 0.0000, 0.0000)
Au (0.2500, 0.7500, 0.5000)
Au (0.7500, 0.2500, 0.5000)

***

Entry 2:
Below is a geometry-optimized K2YAgF6 structure, with properties calculated at the PBE-GGA level.

Symmetry: No. 225
E (MP2020): -5.464 eV/atom

Cell: 6.5233 6.5233 6.5233 Å, 60.00 60.00 60.00°
Positions (direct):
F (0.7360, 0.2640, 0.7360)
F (0.7360, 0.2640, 0.2640)
F (0.2640, 0.7360, 0.2640)
F (0.2640, 0.7360, 0.7360)
F (0.2640, 0.2640, 0.7360)
F (0.7360, 0.7360, 0.2640)
K (0.7500, 0.7500, 0.7500)
K (0.2500, 0.2500, 0.2500)
Y (0.5000, 0.5000, 0.5000)
Ag (0.0000, 0.0000, 0.0000)

***

Entry 3:
Below is a geometry-optimized Eu3B2O6F3 structure, with properties calculated at the PBE-GGA level.

Symmetry: No. 15
E (MP2020): -8.999 eV/atom

Cell: 7.2777 7.2777 8.4048 Å, 84.23 84.23 52.11°
Positions (direct):
F (0.6248, 0.2717, 0.0420)
F (0.2717, 0.6248, 0.5420)
F (0.3752, 0.7283, 0.9580)
F (0.9800, 0.0200, 0.7500)
F (0.7283, 0.3752, 0.4580)
F (0.0200, 0.9800, 0.2500)
O (0.1228, 0.5740, 0.1282)
O (0.8179, 0.7030, 0.4238)
O (0.2970, 0.1821, 0.0762)
O (0.5740, 0.1228, 0.6282)
O (0.1821, 0.2970, 0.5762)
O (0.4378, 0.2571, 0.3580)
O (0.4260, 0.8772, 0.3718)
O (0.8772, 0.4260, 0.8718)
O (0.2571, 0.4378, 0.8580)
O (0.7030, 0.8179, 0.9238)
O (0.5622, 0.7429, 0.6420)
O (0.7429, 0.5622, 0.1420)
Eu (0.0621, 0.2811, 0.3198)
Eu (0.6064, 0.3936, 0.7500)
Eu (0.3936, 0.6064, 0.2500)
Eu (0.2811, 0.0621, 0.8198)
Eu (0.9379, 0.7189, 0.6802)
Eu (0.7189, 0.9379, 0.1802)
B (0.5994, 0.7665, 0.4796)
B (0.4006, 0.2334, 0.5204)
B (0.7665, 0.5994, 0.9796)
B (0.2334, 0.4006, 0.0204)

***

Entry 4:
Below is a geometry-optimized LiSiBiO4 structure, with properties calculated at the PBE-GGA level.

Symmetry: No. 62
E above lowest polymorph: 0.000 eV/atom
E (MP2020): -6.956 eV/atom

Cell: 4.9248 6.8252 10.7913 Å, 90.00 90.00 90.00°
Positions (direct):
O (0.2540, 0.2500, 0.0581)
O (0.2248, 0.7500, 0.5765)
O (0.2558, 0.4372, 0.8417)
O (0.7558, 0.5628, 0.6583)
O (0.7558, 0.9372, 0.6583)
O (0.2752, 0.7500, 0.0765)
O (0.7460, 0.7500, 0.9419)
O (0.7248, 0.2500, 0.9235)
O (0.2442, 0.0628, 0.3417)
O (0.7752, 0.2500, 0.4235)
O (0.2442, 0.4372, 0.3417)
O (0.7442, 0.9372, 0.1583)
O (0.2460, 0.2500, 0.5581)
O (0.7442, 0.5628, 0.1583)
O (0.7540, 0.7500, 0.4419)
O (0.2558, 0.0628, 0.8417)
Li (0.5000, 0.5000, 0.5000)
Li (0.5000, 0.0000, 0.5000)
Li (0.0000, 0.0000, 0.0000)
Li (0.0000, 0.5000, 0.0000)
Bi (0.9499, 0.2500, 0.7217)
Bi (0.4499, 0.7500, 0.7783)
Bi (0.0501, 0.7500, 0.2783)
Bi (0.5501, 0.2500, 0.2217)
Si (0.3958, 0.2500, 0.9196)
Si (0.6042, 0.7500, 0.0804)
Si (0.1042, 0.2500, 0.4196)
Si (0.8958, 0.7500, 0.5804)

***

no.,E_form (kJ per mole of atoms),DFT total energy (eV/atom)
1,-53.3,-5.51
2,-305.2,-5.19
3,-320.0,-8.61
4,-243.7,-6.56